P | A relaxed structure of SmBi, computed with GGA-PBE.

abc: 6.447 6.447 6.447
angles: 90.00 90.00 90.00
Space group Fm-3m (No. 225)
Asymmetric unit:
Sm: 0.000 0.000 0.000 [4 per cell]
Bi: 0.000 0.000 0.500 [4 per cell]

Crystal system: cubic
V (Å³/f.u.): 67.0

=====

Q | A relaxed structure of SmBi, computed with GGA-PBE.

abc: 4.196 4.196 3.458
angles: 90.00 90.00 90.00
Space group P4/mmm (No. 123)
Asymmetric unit:
Sm: 0.000 0.000 0.000 [1 per cell]
Bi: 0.500 0.500 0.500 [1 per cell]

Crystal system: tetragonal
M_tot (μB per cell): 0.00
V (Å³/f.u.): 60.9

=====

Stability, highest: P